1.
Below is crystalline HoH6C6Cl3O9F6 at its relaxed geometry, with properties calculated at the PBE level.

```
HoH6C6Cl3O9F6
1.0
9.357 0.000 0.000
0.000 19.812 0.000
-4.317 0.000 9.747
Ho H C Cl O F
4 24 24 12 36 24
direct
0.203 0.071 0.026 Ho
0.203 0.429 0.526 Ho
0.797 0.571 0.474 Ho
0.797 0.929 0.974 Ho
0.074 0.212 0.019 H
0.074 0.288 0.519 H
0.183 0.212 0.932 H
0.183 0.288 0.432 H
0.330 0.182 0.258 H
0.330 0.318 0.758 H
0.363 0.112 0.335 H
0.363 0.388 0.835 H
0.443 0.545 0.406 H
0.443 0.955 0.906 H
0.476 0.532 0.275 H
0.476 0.968 0.775 H
0.524 0.032 0.225 H
0.524 0.468 0.725 H
0.557 0.045 0.094 H
0.557 0.455 0.594 H
0.637 0.612 0.165 H
0.637 0.888 0.665 H
0.670 0.682 0.242 H
0.670 0.818 0.742 H
0.817 0.712 0.568 H
0.817 0.788 0.068 H
0.926 0.712 0.481 H
0.926 0.788 0.981 H
0.139 0.583 0.407 C
0.139 0.917 0.907 C
0.144 0.539 0.747 C
0.144 0.961 0.247 C
0.171 0.650 0.346 C
0.171 0.850 0.846 C
0.222 0.560 0.902 C
0.222 0.940 0.402 C
0.338 0.168 0.834 C
0.338 0.332 0.334 C
0.438 0.163 0.747 C
0.438 0.337 0.247 C
0.562 0.663 0.753 C
0.562 0.837 0.253 C
0.662 0.668 0.666 C
0.662 0.832 0.166 C
0.778 0.060 0.598 C
0.778 0.440 0.098 C
0.829 0.150 0.154 C
0.829 0.350 0.654 C
0.856 0.039 0.753 C
0.856 0.461 0.253 C
0.861 0.083 0.093 C
0.861 0.417 0.593 C
0.046 0.655 0.169 Cl
0.046 0.845 0.669 Cl
0.232 0.648 0.923 Cl
0.232 0.852 0.423 Cl
0.311 0.141 0.575 Cl
0.311 0.359 0.075 Cl
0.689 0.641 0.925 Cl
0.689 0.859 0.425 Cl
0.768 0.148 0.577 Cl
0.768 0.352 0.077 Cl
0.954 0.155 0.331 Cl
0.954 0.345 0.831 Cl
0.007 0.560 0.685 O
0.007 0.940 0.185 O
0.017 0.584 0.430 O
0.017 0.916 0.930 O
0.144 0.186 0.993 O
0.144 0.314 0.493 O
0.227 0.504 0.703 O
0.227 0.996 0.203 O
0.235 0.536 0.427 O
0.235 0.964 0.927 O
0.281 0.226 0.835 O
0.281 0.274 0.335 O
0.323 0.114 0.890 O
0.323 0.386 0.390 O
0.334 0.133 0.245 O
0.334 0.367 0.745 O
0.474 0.039 0.126 O
0.474 0.461 0.626 O
0.526 0.539 0.374 O
0.526 0.961 0.874 O
0.666 0.633 0.255 O
0.666 0.867 0.755 O
0.677 0.614 0.610 O
0.677 0.886 0.110 O
0.719 0.726 0.665 O
0.719 0.774 0.165 O
0.765 0.036 0.073 O
0.765 0.464 0.573 O
0.773 0.004 0.797 O
0.773 0.496 0.297 O
0.856 0.686 0.507 O
0.856 0.814 0.007 O
0.983 0.084 0.070 O
0.983 0.416 0.570 O
0.993 0.060 0.815 O
0.993 0.440 0.315 O
0.137 0.533 0.968 F
0.137 0.967 0.468 F
0.143 0.704 0.413 F
0.143 0.796 0.913 F
0.322 0.655 0.361 F
0.322 0.845 0.861 F
0.370 0.534 0.965 F
0.370 0.966 0.465 F
0.449 0.615 0.703 F
0.449 0.885 0.203 F
0.491 0.723 0.754 F
0.491 0.777 0.254 F
0.509 0.223 0.746 F
0.509 0.277 0.246 F
0.551 0.115 0.797 F
0.551 0.385 0.297 F
0.630 0.034 0.535 F
0.630 0.466 0.035 F
0.678 0.155 0.139 F
0.678 0.345 0.639 F
0.857 0.204 0.087 F
0.857 0.296 0.587 F
0.863 0.033 0.532 F
0.863 0.467 0.032 F
```

Output
Formation energy from the elements   -1.59 eV/atom
SG   P2_1/c, No. 14
Spin magnetization   0.00 μB/cell

2.
Below is crystalline LiSi4H27C9O3 at its relaxed geometry, with properties calculated at the PBE level.

```
LiSi4H27C9O3
1.0
9.956 0.000 0.000
0.000 16.537 0.000
-3.212 0.000 12.712
Li Si H C O
4 16 108 36 12
direct
0.206 0.249 0.424 Li
0.206 0.251 0.924 Li
0.794 0.749 0.076 Li
0.794 0.751 0.576 Li
0.004 0.217 0.065 Si
0.004 0.283 0.565 Si
0.209 0.248 0.689 Si
0.209 0.252 0.189 Si
0.264 0.128 0.611 Si
0.264 0.372 0.111 Si
0.361 0.165 0.130 Si
0.361 0.335 0.630 Si
0.639 0.665 0.370 Si
0.639 0.835 0.870 Si
0.736 0.628 0.889 Si
0.736 0.872 0.389 Si
0.791 0.748 0.811 Si
0.791 0.752 0.311 Si
0.996 0.717 0.435 Si
0.996 0.783 0.935 Si
0.008 0.572 0.379 H
0.008 0.928 0.879 H
0.018 0.649 0.706 H
0.018 0.851 0.206 H
0.062 0.044 0.631 H
0.062 0.456 0.131 H
0.097 0.646 0.986 H
0.097 0.854 0.486 H
0.105 0.603 0.616 H
0.105 0.897 0.116 H
0.108 0.637 0.320 H
0.108 0.863 0.820 H
0.148 0.073 0.335 H
0.148 0.427 0.835 H
0.155 0.702 0.668 H
0.155 0.798 0.168 H
0.174 0.606 0.452 H
0.174 0.894 0.952 H
0.175 0.692 0.892 H
0.175 0.808 0.392 H
0.201 0.519 0.114 H
0.201 0.981 0.614 H
0.211 0.029 0.736 H
0.211 0.471 0.236 H
0.212 0.047 0.055 H
0.212 0.453 0.555 H
0.218 0.010 0.447 H
0.218 0.490 0.947 H
0.225 0.723 0.026 H
0.225 0.777 0.526 H
0.291 0.031 0.191 H
0.291 0.469 0.691 H
0.331 0.070 0.391 H
0.331 0.430 0.891 H
0.390 0.018 0.096 H
0.390 0.482 0.596 H
0.390 0.620 0.305 H
0.390 0.880 0.805 H
0.410 0.725 0.277 H
0.410 0.775 0.777 H
0.427 0.099 0.916 H
0.427 0.401 0.416 H
0.431 0.639 0.486 H
0.431 0.861 0.986 H
0.465 0.649 0.201 H
0.465 0.851 0.701 H
0.469 0.040 0.612 H
0.469 0.460 0.112 H
0.488 0.645 0.896 H
0.488 0.855 0.396 H
0.495 0.197 0.899 H
0.495 0.303 0.399 H
0.500 0.102 0.727 H
0.500 0.398 0.227 H
0.500 0.602 0.773 H
0.500 0.898 0.273 H
0.505 0.697 0.601 H
0.505 0.803 0.101 H
0.512 0.145 0.604 H
0.512 0.355 0.104 H
0.531 0.540 0.888 H
0.531 0.960 0.388 H
0.535 0.149 0.299 H
0.535 0.351 0.799 H
0.569 0.139 0.014 H
0.569 0.361 0.514 H
0.573 0.599 0.584 H
0.573 0.901 0.084 H
0.590 0.225 0.223 H
0.590 0.275 0.723 H
0.610 0.120 0.195 H
0.610 0.380 0.695 H
0.610 0.518 0.404 H
0.610 0.982 0.904 H
0.669 0.570 0.109 H
0.669 0.930 0.609 H
0.709 0.531 0.309 H
0.709 0.969 0.809 H
0.775 0.223 0.474 H
0.775 0.277 0.974 H
0.782 0.510 0.053 H
0.782 0.990 0.553 H
0.788 0.547 0.445 H
0.788 0.953 0.945 H
0.789 0.529 0.764 H
0.789 0.971 0.264 H
0.799 0.019 0.386 H
0.799 0.481 0.886 H
0.825 0.192 0.608 H
0.825 0.308 0.108 H
0.826 0.106 0.048 H
0.826 0.394 0.548 H
0.845 0.202 0.832 H
0.845 0.298 0.332 H
0.852 0.573 0.165 H
0.852 0.927 0.665 H
0.892 0.137 0.180 H
0.892 0.363 0.680 H
0.895 0.103 0.884 H
0.895 0.397 0.384 H
0.903 0.146 0.514 H
0.903 0.354 0.014 H
0.938 0.544 0.869 H
0.938 0.956 0.369 H
0.982 0.149 0.794 H
0.982 0.351 0.294 H
0.992 0.072 0.121 H
0.992 0.428 0.621 H
0.066 0.660 0.640 C
0.066 0.840 0.140 C
0.079 0.624 0.394 C
0.079 0.876 0.894 C
0.136 0.704 0.962 C
0.136 0.796 0.462 C
0.175 0.037 0.651 C
0.175 0.463 0.151 C
0.229 0.068 0.410 C
0.229 0.432 0.910 C
0.308 0.055 0.116 C
0.308 0.445 0.616 C
0.454 0.102 0.641 C
0.454 0.398 0.141 C
0.459 0.665 0.281 C
0.459 0.835 0.781 C
0.472 0.155 0.957 C
0.472 0.345 0.457 C
0.528 0.655 0.543 C
0.528 0.845 0.043 C
0.541 0.165 0.219 C
0.541 0.335 0.719 C
0.546 0.602 0.859 C
0.546 0.898 0.359 C
0.692 0.555 0.384 C
0.692 0.945 0.884 C
0.771 0.568 0.090 C
0.771 0.932 0.590 C
0.825 0.537 0.849 C
0.825 0.963 0.349 C
0.864 0.204 0.538 C
0.864 0.296 0.038 C
0.921 0.124 0.106 C
0.921 0.376 0.606 C
0.934 0.160 0.860 C
0.934 0.340 0.360 C
0.037 0.196 0.944 O
0.037 0.304 0.444 O
0.212 0.135 0.475 O
0.212 0.365 0.975 O
0.375 0.194 0.007 O
0.375 0.306 0.507 O
0.625 0.694 0.493 O
0.625 0.806 0.993 O
0.788 0.635 0.025 O
0.788 0.865 0.525 O
0.963 0.696 0.556 O
0.963 0.804 0.056 O
```

Output
Formation energy from the elements   -0.41 eV/atom
SG   P2_1/c, No. 14
Spin magnetization   0.02 μB/cell

3.
Below is crystalline Ce2BiN at its relaxed geometry, with properties calculated at the PBE level.

```
Ce2BiN
1.0
4.685 0.000 0.000
0.000 4.685 0.000
0.000 0.000 9.201
Ce Bi N
4 2 2
direct
0.250 0.250 0.171 Ce
0.250 0.750 0.500 Ce
0.750 0.250 0.500 Ce
0.750 0.750 0.829 Ce
0.250 0.250 0.802 Bi
0.750 0.750 0.198 Bi
0.250 0.250 0.412 N
0.750 0.750 0.588 N
```

Output
Formation energy from the elements   -1.24 eV/atom
SG   P4/nmm, No. 129

4.
Below is crystalline Tm2P4O13 at its relaxed geometry, with properties calculated at the PBE level.

```
Tm2P4O13
1.0
3.502 -8.726 0.000
3.502 8.726 0.000
0.000 0.000 8.546
Tm P O
4 8 26
direct
0.099 0.393 0.148 Tm
0.393 0.099 0.852 Tm
0.607 0.901 0.352 Tm
0.901 0.607 0.648 Tm
0.085 0.405 0.502 P
0.219 0.335 0.776 P
0.335 0.219 0.224 P
0.405 0.085 0.498 P
0.595 0.915 0.998 P
0.665 0.781 0.724 P
0.781 0.665 0.276 P
0.915 0.595 0.002 P
0.027 0.485 0.609 O
0.082 0.760 0.884 O
0.112 0.341 0.900 O
0.115 0.285 0.609 O
0.195 0.243 0.203 O
0.240 0.918 0.616 O
0.243 0.195 0.797 O
0.280 0.570 0.401 O
0.285 0.115 0.391 O
0.341 0.112 0.100 O
0.430 0.720 0.099 O
0.438 0.562 0.750 O
0.485 0.027 0.391 O
0.515 0.973 0.891 O
0.562 0.438 0.250 O
0.570 0.280 0.599 O
0.659 0.888 0.600 O
0.715 0.885 0.891 O
0.720 0.430 0.901 O
0.757 0.805 0.297 O
0.760 0.082 0.116 O
0.805 0.757 0.703 O
0.885 0.715 0.109 O
0.888 0.659 0.400 O
0.918 0.240 0.384 O
0.973 0.515 0.109 O
```

Output
Formation energy from the elements   -3.18 eV/atom
SG   C222_1, No. 20
Largest piezoelectric modulus   0.03 C/m2

Q: formation energy from the elements of number 2 (LiSi4H27C9O3)?
A: -0.41 eV/atom